First-principles (PBE) data for crystalline KTlBr4 at its relaxed geometry, as listed in the Materials Project.

The structure in extended XYZ format:
```
24
Lattice="8.1492 0.0000 0.0000 0.0000 10.8423 0.0000 0.0000 0.0000 10.8905" Properties=species:S:1:pos:R:3 pbc="T T T"
K 1.4746 2.7106 2.7226
K 2.6000 8.1317 2.7226
K 5.5492 2.7106 8.1679
K 6.6745 8.1317 8.1679
Tl 2.0373 0.0000 7.3721
Tl 2.0373 5.4211 8.9637
Tl 6.1119 0.0000 3.5184
Tl 6.1119 5.4211 1.9268
Br 0.0558 5.8633 3.4701
Br 0.0558 10.4001 1.9751
Br 1.2142 7.4779 10.3739
Br 1.2142 8.7855 5.9619
Br 2.8603 2.0568 5.9619
Br 2.8603 3.3643 10.3739
Br 4.0188 0.4422 1.9751
Br 4.0188 4.9789 3.4701
Br 4.1303 5.8633 7.4204
Br 4.1303 10.4001 8.9154
Br 5.2888 7.4779 0.5166
Br 5.2888 8.7855 4.9286
Br 6.9349 2.0568 4.9286
Br 6.9349 3.3643 0.5166
Br 8.0934 0.4422 8.9154
Br 8.0934 4.9789 7.4204
```

## Properties
The crystal system is orthorhombic. As for the volume: 962.2 Å³/cell. As for the density: 3.89 g/cm3. The MP2020-corrected energy is -2.98 eV/atom. The value obtained for the formation energy is -7.884 eV/f.u. The final energy comes out at -63.08 eV per cell.